# Na6Ca7SnS12O48

Na6Ca7SnS12O48 after structural relaxation (GGA-PBE, the Materials Project).

abc: 9.1874 15.9352 24.0816
angles: 90.06 90.07 90.02
Last column: nearest neighbours and their distance in Å.
Sites, in units of the cell vectors:
1 Na 0.0000 0.0000 0.0000  4 O 2.45-2.63
2 Na 0.0005 0.3368 0.6659  4 O 2.43-2.64
3 Na 0.1814 0.8209 0.4991  4 O 2.44-2.48
4 Na 0.3050 0.6489 0.9195  5 O 2.60-2.79
5 Na 0.3198 0.3217 0.2481  6 O 2.63-2.71
6 Na 0.3273 0.6466 0.4166  5 O 2.60-2.86
7 Na 0.3291 0.9931 0.5799  6 O 2.65-2.80
8 Na 0.3329 0.3252 0.7520  6 O 2.58-2.87
9 Na 0.3349 0.9840 0.0823  6 O 2.64-2.82
10 Na 0.6390 0.6664 0.8307  4 O 2.46-2.63
11 Na 0.6816 0.3209 0.4995  4 O 2.46-2.49
12 Na 0.8048 0.1588 0.9115  6 O 2.60-2.90
13 Na 0.8124 0.4980 0.0789  5 O 2.55-2.74
14 Na 0.8168 0.5045 0.5835  4 O 2.52-2.78
15 Na 0.8189 0.8198 0.2481  6 O 2.64-2.73
16 Na 0.8264 0.1459 0.4160  5 O 2.62-2.84
17 Na 0.8261 0.8228 0.7448  6 O 2.60-2.75
18 Na 0.9574 0.3226 0.9969  4 O 2.43-2.56
19 Ca 0.3109 0.6510 0.7623  6 O 2.24-2.37
20 Ca 0.3140 0.3208 0.3955  6 O 2.28-2.42
21 Ca 0.3192 0.6547 0.2644  6 O 2.27-2.32
22 Ca 0.3214 0.6539 0.0675  6 O 2.33-2.39
23 Ca 0.3224 0.3207 0.8973  6 O 2.28-2.42
24 Ca 0.3239 0.3207 0.5974  6 O 2.23-2.40
25 Ca 0.3240 0.6511 0.5676  6 O 2.22-2.47
26 Ca 0.3236 0.9917 0.4322  6 O 2.23-2.33
27 Ca 0.3250 0.3216 0.0999  6 O 2.26-2.40
28 Ca 0.3287 0.9858 0.9327  6 O 2.23-2.36
29 Ca 0.8092 0.1547 0.0717  6 O 2.29-2.42
30 Ca 0.8124 0.8210 0.5997  6 O 2.27-2.41
31 Ca 0.8138 0.8204 0.3956  6 O 2.29-2.41
32 Ca 0.8161 0.4893 0.7328  6 O 2.24-2.36
33 Ca 0.8172 0.8169 0.1000  6 O 2.24-2.40
34 Ca 0.8184 0.1550 0.7661  6 O 2.25-2.31
35 Ca 0.8184 0.4908 0.9308  6 O 2.25-2.36
36 Ca 0.8194 0.1548 0.2644  6 O 2.27-2.31
37 Ca 0.8210 0.1445 0.5675  6 O 2.30-2.40
38 Ca 0.8233 0.8226 0.8986  6 O 2.25-2.43
39 Ca 0.8248 0.4923 0.4327  6 O 2.23-2.34
40 Sn 0.3192 0.9869 0.2334  6 O 2.08-2.13
41 Sn 0.3208 0.9868 0.7334  6 O 2.08-2.15
42 Sn 0.8196 0.4879 0.2329  6 O 2.08-2.13
43 S 0.0129 0.6483 0.1687  4 O 1.47-1.55
44 S 0.0157 0.3193 0.5002  4 O 1.47-1.51
45 S 0.0300 0.9865 0.8299  4 O 1.47-1.54
46 S 0.1105 0.4864 0.3279  4 O 1.47-1.54
47 S 0.1188 0.8218 0.9990  4 O 1.48-1.51
48 S 0.1240 0.1488 0.6683  4 O 1.47-1.53
49 S 0.1658 0.5008 0.6643  4 O 1.47-1.51
50 S 0.1668 0.1715 0.9995  4 O 1.47-1.52
51 S 0.1699 0.4692 0.9986  4 O 1.48-1.51
52 S 0.1725 0.8427 0.3301  4 O 1.48-1.54
53 S 0.1730 0.8123 0.6671  4 O 1.46-1.56
54 S 0.1758 0.1332 0.3280  4 O 1.47-1.54
55 S 0.4628 0.1328 0.8286  4 O 1.47-1.54
56 S 0.4640 0.8108 0.1689  4 O 1.47-1.56
57 S 0.4679 0.8404 0.8280  4 O 1.47-1.53
58 S 0.4696 0.4695 0.4968  4 O 1.48-1.51
59 S 0.4717 0.1731 0.4982  4 O 1.47-1.51
60 S 0.4820 0.5036 0.1689  4 O 1.47-1.55
61 S 0.5099 0.1482 0.1693  4 O 1.46-1.54
62 S 0.5162 0.8204 0.4978  4 O 1.47-1.51
63 S 0.5182 0.4890 0.8311  4 O 1.48-1.51
64 S 0.6109 0.9866 0.3281  4 O 1.47-1.54
65 S 0.6234 0.3197 0.9984  4 O 1.47-1.52
66 S 0.6227 0.6549 0.6676  4 O 1.48-1.49
67 S 0.6571 0.0034 0.6693  4 O 1.47-1.56
68 S 0.6662 0.6708 0.9964  4 O 1.48-1.50
69 S 0.6732 0.3035 0.6631  4 O 1.48-1.50
70 S 0.6733 0.3430 0.3300  4 O 1.48-1.54
71 S 0.6755 0.6334 0.3283  4 O 1.47-1.54
72 S 0.6752 0.9712 0.9997  4 O 1.47-1.51
73 S 0.9653 0.3114 0.1674  4 O 1.46-1.54
74 S 0.9676 0.6392 0.8318  4 O 1.47-1.51
75 S 0.9689 0.9681 0.4975  4 O 1.48-1.51
76 S 0.9706 0.3358 0.8319  4 O 1.49-1.50
77 S 0.9715 0.6743 0.4990  4 O 1.47-1.51
78 S 0.9820 0.0027 0.1671  4 O 1.46-1.54
79 O 0.0026 0.1647 0.0039  1 S 1.52
80 O 0.0037 0.4896 0.6666  1 S 1.50
81 O 0.0064 0.4725 0.9955  1 S 1.51
82 O 0.0118 0.8355 0.3305  1 S 1.48
83 O 0.0140 0.8251 0.6639  1 S 1.48
84 O 0.0159 0.1405 0.3228  1 S 1.48
85 O 0.0156 0.4765 0.2758  1 S 1.54
86 O 0.0197 0.4941 0.3777  1 S 1.47
87 O 0.0239 0.8326 0.0485  1 S 1.49
88 O 0.0305 0.1597 0.7172  1 S 1.47
89 O 0.0308 0.8141 0.9478  1 S 1.48
90 O 0.0395 0.1340 0.6172  1 S 1.47
91 O 0.0994 0.6357 0.1177  1 S 1.48
92 O 0.0996 0.3268 0.5526  1 S 1.48
93 O 0.1040 0.6573 0.2184  1 S 1.47
94 O 0.1107 0.3126 0.4512  1 S 1.47
95 O 0.1178 0.9942 0.8812  1 S 1.48
96 O 0.1246 0.3233 0.1636  1 S 1.48
97 O 0.1273 0.6521 0.8280  1 S 1.48
98 O 0.1292 0.9765 0.7786  1 S 1.54
99 O 0.1320 0.3269 0.8339  1 S 1.49
100 O 0.1329 0.9721 0.4948  1 S 1.51
101 O 0.1352 0.6703 0.5021  1 S 1.51
102 O 0.1489 0.9960 0.1735  1 S 1.54
103 O 0.1974 0.2213 0.9492  1 S 1.48
104 O 0.2013 0.4095 0.3291  1 S 1.48
105 O 0.2009 0.5497 0.6142  1 S 1.47
106 O 0.2015 0.5624 0.3231  1 S 1.48
107 O 0.2028 0.4175 0.0487  1 S 1.49
108 O 0.2066 0.8970 0.2789  1 S 1.54
109 O 0.2069 0.9020 0.9959  1 S 1.51
110 O 0.2086 0.0837 0.3779  1 S 1.47
111 O 0.2094 0.7603 0.7153  1 S 1.46
112 O 0.2148 0.2263 0.6629  1 S 1.50
113 O 0.2154 0.7480 0.0038  1 S 1.48
114 O 0.2217 0.5413 0.7150  1 S 1.47
115 O 0.2231 0.0722 0.6749  1 S 1.53
116 O 0.2241 0.0834 0.9949  1 S 1.50
117 O 0.2266 0.2112 0.0497  1 S 1.47
118 O 0.2278 0.4284 0.9481  1 S 1.48
119 O 0.2282 0.8826 0.3813  1 S 1.48
120 O 0.2289 0.4136 0.6619  1 S 1.51
121 O 0.2314 0.5550 0.0033  1 S 1.48
122 O 0.2326 0.7786 0.6143  1 S 1.49
123 O 0.2382 0.0907 0.2760  1 S 1.54
124 O 0.2423 0.7599 0.3240  1 S 1.48
125 O 0.2453 0.2170 0.3294  1 S 1.48
126 O 0.2466 0.8999 0.6735  1 S 1.56
127 O 0.3911 0.8985 0.1739  1 S 1.56
128 O 0.3949 0.2168 0.8295  1 S 1.48
129 O 0.4014 0.0903 0.7761  1 S 1.54
130 O 0.4008 0.7744 0.1178  1 S 1.48
131 O 0.4042 0.7557 0.8224  1 S 1.48
132 O 0.4077 0.5552 0.5006  1 S 1.48
133 O 0.4095 0.0873 0.4949  1 S 1.48
134 O 0.4093 0.8815 0.8777  1 S 1.47
135 O 0.4120 0.2217 0.1645  1 S 1.48
136 O 0.4119 0.4280 0.4464  1 S 1.48
137 O 0.4144 0.2134 0.5488  1 S 1.47
138 O 0.4159 0.0683 0.1745  1 S 1.54
139 O 0.4163 0.8958 0.4953  1 S 1.51
140 O 0.4167 0.7453 0.5007  1 S 1.51
141 O 0.4214 0.4148 0.8346  1 S 1.48
142 O 0.4216 0.4177 0.1643  1 S 1.48
143 O 0.4229 0.5450 0.2184  1 S 1.47
144 O 0.4279 0.0832 0.8781  1 S 1.47
145 O 0.4310 0.5690 0.8283  1 S 1.51
146 O 0.4315 0.7610 0.2185  1 S 1.47
147 O 0.4363 0.8931 0.7763  1 S 1.53
148 O 0.4382 0.2240 0.4481  1 S 1.49
149 O 0.4381 0.4189 0.5471  1 S 1.49
150 O 0.4589 0.5531 0.1178  1 S 1.48
151 O 0.4888 0.9962 0.6744  1 S 1.56
152 O 0.5046 0.6625 0.0008  1 S 1.49
153 O 0.5125 0.3356 0.3304  1 S 1.48
154 O 0.5139 0.3152 0.6609  1 S 1.48
155 O 0.5147 0.9836 0.9962  1 S 1.49
156 O 0.5156 0.6408 0.3233  1 S 1.48
157 O 0.5162 0.9769 0.2759  1 S 1.54
158 O 0.5199 0.9947 0.3777  1 S 1.47
159 O 0.5256 0.6496 0.6185  1 S 1.48
160 O 0.5341 0.3110 0.9479  1 S 1.47
161 O 0.5338 0.3263 0.0490  1 S 1.47
162 O 0.5366 0.6607 0.7200  1 S 1.49
163 O 0.5945 0.1345 0.1178  1 S 1.48
164 O 0.6035 0.1576 0.2182  1 S 1.46
165 O 0.6048 0.8134 0.4472  1 S 1.47
166 O 0.6055 0.8284 0.5482  1 S 1.47
167 O 0.6076 0.4807 0.7804  1 S 1.48
168 O 0.6115 0.4982 0.8810  1 S 1.48
169 O 0.6229 0.1392 0.8241  1 S 1.48
170 O 0.6231 0.8236 0.1643  1 S 1.48
171 O 0.6296 0.8316 0.8301  1 S 1.49
172 O 0.6334 0.4733 0.4938  1 S 1.51
173 O 0.6353 0.1689 0.5014  1 S 1.51
174 O 0.6498 0.4961 0.1740  1 S 1.55
175 O 0.6781 0.0520 0.6178  1 S 1.48
176 O 0.6978 0.7166 0.9435  1 S 1.50
177 O 0.7023 0.0626 0.3232  1 S 1.48
178 O 0.7020 0.9098 0.3293  1 S 1.48
179 O 0.7080 0.3971 0.2790  1 S 1.54
180 O 0.7081 0.9215 0.0497  1 S 1.47
181 O 0.7088 0.5839 0.3780  1 S 1.47
182 O 0.7098 0.2517 0.7122  1 S 1.48
183 O 0.7154 0.5782 0.6675  1 S 1.49
184 O 0.7165 0.7311 0.6647  1 S 1.49
185 O 0.7167 0.0452 0.7186  1 S 1.47
186 O 0.7179 0.9179 0.6647  1 S 1.48
187 O 0.7215 0.3949 0.9955  1 S 1.50
188 O 0.7233 0.2442 0.0017  1 S 1.52
189 O 0.7253 0.7164 0.0451  1 S 1.48
190 O 0.7287 0.3826 0.3814  1 S 1.48
191 O 0.7308 0.2631 0.6113  1 S 1.50
192 O 0.7333 0.9309 0.9487  1 S 1.48
193 O 0.7349 0.5861 0.9956  1 S 1.49
194 O 0.7378 0.5912 0.2761  1 S 1.54
195 O 0.7431 0.2600 0.3239  1 S 1.48
196 O 0.7451 0.7173 0.3295  1 S 1.48
197 O 0.7502 0.3863 0.6671  1 S 1.50
198 O 0.7514 0.0549 0.0034  1 S 1.51
199 O 0.8893 0.7223 0.8344  1 S 1.51
200 O 0.8919 0.3977 0.1737  1 S 1.54
201 O 0.9006 0.2509 0.8303  1 S 1.50
202 O 0.9050 0.2769 0.1144  1 S 1.49
203 O 0.9075 0.0541 0.5008  1 S 1.48
204 O 0.9080 0.5971 0.7817  1 S 1.48
205 O 0.9097 0.5883 0.4956  1 S 1.49
206 O 0.9120 0.9271 0.4469  1 S 1.48
207 O 0.9144 0.7153 0.5493  1 S 1.47
208 O 0.9137 0.7212 0.1642  1 S 1.48
209 O 0.9161 0.3785 0.8827  1 S 1.49
210 O 0.9173 0.2438 0.5019  1 S 1.51
211 O 0.9172 0.3947 0.4961  1 S 1.51
212 O 0.9182 0.5680 0.1735  1 S 1.55
213 O 0.9203 0.0474 0.2147  1 S 1.46
214 O 0.9207 0.9173 0.1633  1 S 1.48
215 O 0.9296 0.2583 0.2150  1 S 1.46
216 O 0.9343 0.3834 0.7804  1 S 1.49
217 O 0.9365 0.5904 0.8824  1 S 1.47
218 O 0.9356 0.9183 0.5480  1 S 1.49
219 O 0.9383 0.7243 0.4483  1 S 1.49
220 O 0.9389 0.9101 0.8301  1 S 1.48
221 O 0.9409 0.0627 0.8236  1 S 1.47
222 O 0.9610 0.0501 0.1141  1 S 1.50

Properties
As for the raw total energy: -0.4542 Ry per atom. As for the space-group type: No. 1.